A plane-wave DFT calculation with GGA+U was carried out for an optimized crystal structure of LuAgW2O8.

Values from the calculation:
DFT formation energy: -2.377 eV per atom

Cell lengths 7.3027, 7.3027, 7.2718 Å; angles 66.05, 66.05, 94.32 degrees
Fractional coordinates of all 24 atoms:
W 0.7885 0.7885 0.9671
W 0.2115 0.2115 0.0329
W 0.8340 0.1660 0.5000
W 0.1660 0.8340 0.5000
O 0.8965 0.6421 0.7561
O 0.2224 0.6864 0.3444
O 0.9775 0.9775 0.3424
O 0.5534 0.5534 0.1347
O 0.3136 0.7776 0.6556
O 0.3579 0.1035 0.2439
O 0.6997 0.9644 0.0818
O 0.6421 0.8965 0.7561
O 0.1035 0.3579 0.2439
O 0.0225 0.0225 0.6576
O 0.3003 0.0356 0.9182
O 0.9644 0.6997 0.0818
O 0.6864 0.2224 0.3444
O 0.4466 0.4466 0.8653
O 0.7776 0.3136 0.6556
O 0.0356 0.3003 0.9182
Lu 0.3014 0.6986 0.0000
Lu 0.6986 0.3014 0.0000
Ag 0.6825 0.6825 0.4801
Ag 0.3175 0.3175 0.5199